No. 1
# meta-GGA r2SCAN Hf3N2, optimized geometry
data_Hf3N2
_chemical_formula_sum 'Hf3 N2'
_space_group_name_H-M_alt 'P 1'
_space_group_IT_number 1
_space_group_name_Hall 'P 1'
_cell_length_a 7.972
_cell_length_b 7.972
_cell_length_c 7.972
_cell_angle_alpha 23.15
_cell_angle_beta 23.15
_cell_angle_gamma 23.15
loop_
_atom_site_label
_atom_site_type_symbol
_atom_site_fract_x
_atom_site_fract_y
_atom_site_fract_z
_atom_site_occupancy
Hf1 Hf 0.000 0.000 0.000 1
Hf2 Hf 0.221 0.221 0.221 1
Hf3 Hf 0.779 0.779 0.779 1
N1 N 0.388 0.388 0.388 1
N2 N 0.612 0.612 0.612 1
# **DFT total energy**: -32.426 eV per atom
# **Energy relative to the elements**: -1.6834 eV/atom
# **SG**: R-3m (166)
# **Crystal system**: trigonal


No. 2
# meta-GGA r2SCAN HfN, optimized geometry
data_HfN
_chemical_formula_sum 'Hf1 N1'
_space_group_name_H-M_alt 'P 1'
_space_group_IT_number 1
_space_group_name_Hall 'P 1'
_cell_length_a 3.190
_cell_length_b 3.190
_cell_length_c 3.190
_cell_angle_alpha 60.00
_cell_angle_beta 60.00
_cell_angle_gamma 60.00
loop_
_atom_site_label
_atom_site_type_symbol
_atom_site_fract_x
_atom_site_fract_y
_atom_site_fract_z
_atom_site_occupancy
Hf1 Hf 0.000 0.000 0.000 1
N1 N 0.500 0.500 0.500 1
# **DFT total energy**: -29.123 eV per atom
# **Energy relative to the elements**: -1.9825 eV/atom
# **SG**: Fm-3m (225)
# **Crystal system**: cubic